Record 1
MnCoSe | PBE-GGA | optimized geometry Values from VASP.

Summary:
symmetry	F-43m, No. 216
ΔH_f (0 K)	-0.2179	eV per atom
magnetization	1.3332	μB/atom
E	-19.9	eV per cell

Geometry as Quantum ESPRESSO input:
```
&SYSTEM
  ibrav = 0, nat = 3, ntyp = 3
/
ATOMIC_SPECIES
Se 78.96 Se.upf
Mn 54.94 Mn.upf
Co 58.93 Co.upf
ATOMIC_POSITIONS crystal
Se 0.500 0.500 0.500
Mn 0.000 0.000 0.000
Co 0.250 0.250 0.250
CELL_PARAMETERS angstrom
-2.740 2.122 1.954
-1.691 3.152 -1.743
-3.813 -0.157 -1.126
```

Record 2
Mg2Cd | PBE-GGA | optimized geometry Values from VASP.

Summary:
symmetry	P-3m1, No. 164
ΔH_f (0 K)	0.0073	eV per atom
magnetization	0.0005	μB/atom
E	-8.2	eV per cell

Geometry as Quantum ESPRESSO input:
```
&SYSTEM
  ibrav = 0, nat = 6, ntyp = 2
/
ATOMIC_SPECIES
Cd 112.41 Cd.upf
Mg 24.30 Mg.upf
ATOMIC_POSITIONS crystal
Cd 0.333 0.667 0.085
Mg 0.333 0.667 0.416
Mg 0.333 0.667 0.752
Cd 0.667 0.333 0.915
Mg 0.667 0.333 0.248
Mg 0.667 0.333 0.584
CELL_PARAMETERS angstrom
1.567 -2.714 0.000
1.567 2.714 0.000
0.000 0.000 15.939
```

Record 3
CaNdHfTiO6 | PBE-GGA | optimized geometry Values from VASP.

Summary:
symmetry	F-43m, No. 216
ΔH_f (0 K)	-3.5245	eV per atom
magnetization	0.0004	μB/atom
E	-85.4	eV per cell

Geometry as Quantum ESPRESSO input:
```
&SYSTEM
  ibrav = 0, nat = 10, ntyp = 5
/
ATOMIC_SPECIES
O 16.00 O.upf
Hf 178.49 Hf.upf
Ca 40.08 Ca.upf
Nd 144.24 Nd.upf
Ti 47.87 Ti.upf
ATOMIC_POSITIONS crystal
O 0.255 0.745 0.255
O 0.745 0.255 0.255
O 0.745 0.255 0.745
Hf 0.000 0.000 0.000
O 0.745 0.745 0.255
Ca 0.250 0.250 0.250
O 0.255 0.745 0.745
Nd 0.750 0.750 0.750
O 0.255 0.255 0.745
Ti 0.500 0.500 0.500
CELL_PARAMETERS angstrom
3.301 4.260 -1.779
-2.298 4.439 -2.687
-0.256 5.052 2.572
```

Record 4
YMg6SiO8 | PBE-GGA | optimized geometry Values from VASP.

Summary:
symmetry	P4/mmm, No. 123
ΔH_f (0 K)	-2.6064	eV per atom
magnetization	0.0045	μB/atom
E	-97.3	eV per cell

Geometry as Quantum ESPRESSO input:
```
&SYSTEM
  ibrav = 0, nat = 16, ntyp = 4
/
ATOMIC_SPECIES
Mg 24.30 Mg.upf
Y 88.91 Y.upf
O 16.00 O.upf
Si 28.09 Si.upf
ATOMIC_POSITIONS crystal
Mg 0.264 0.000 0.500
Y 0.000 0.000 0.000
O 0.251 0.000 0.000
O 0.257 0.500 0.500
O 0.500 0.500 0.000
O 0.749 0.000 0.000
Si 0.500 0.000 0.000
O 0.500 0.000 0.500
O 0.000 0.000 0.500
O 0.743 0.500 0.500
Mg 0.736 0.500 0.000
Mg 0.000 0.500 0.500
Mg 0.736 0.000 0.500
O 0.000 0.500 0.000
Mg 0.264 0.500 0.000
Mg 0.500 0.500 0.500
CELL_PARAMETERS angstrom
-1.261 -7.047 -5.408
-1.662 -2.351 3.451
-4.127 1.487 -0.975
```

Record 5
Mg5Si9 | PBE-GGA | optimized geometry Values from VASP.

Summary:
symmetry	P1, No. 1
ΔH_f (0 K)	0.2083	eV per atom
magnetization	0.0002	μB/atom
E	-109.1	eV per cell

Geometry as Quantum ESPRESSO input:
```
&SYSTEM
  ibrav = 0, nat = 28, ntyp = 2
/
ATOMIC_SPECIES
Si 28.09 Si.upf
Mg 24.30 Mg.upf
ATOMIC_POSITIONS crystal
Si 0.131 0.336 0.749
Mg 0.684 0.701 0.433
Si 0.103 0.976 0.524
Mg 0.522 0.965 0.862
Mg 0.580 0.751 0.092
Si 0.933 0.943 0.259
Si 0.619 0.168 0.107
Mg 0.246 0.741 0.348
Si 0.415 0.456 0.251
Si 0.776 0.318 0.789
Mg 0.198 0.885 0.078
Mg 0.398 0.313 0.965
Si 0.899 0.892 0.862
Si 0.133 0.456 0.117
Si 0.809 0.525 0.179
Mg 0.990 0.621 0.642
Si 0.218 0.053 0.751
Si 0.301 0.133 0.326
Si 0.931 0.102 0.056
Mg 0.561 0.212 0.560
Si 0.232 0.598 0.916
Si 0.782 0.954 0.652
Si 0.852 0.589 0.937
Mg 0.545 0.581 0.738
Mg 0.208 0.391 0.495
Si 0.414 0.817 0.595
Si 0.660 0.093 0.319
Si 0.859 0.430 0.396
CELL_PARAMETERS angstrom
-6.872 0.000 0.000
2.988 7.026 0.000
-0.057 -0.846 -10.466
```

Record 6
KCu4Se3 | PBE-GGA | optimized geometry Values from VASP.

Summary:
symmetry	P4/mmm, No. 123
ΔH_f (0 K)	-0.5369	eV per atom
magnetization	0.0000	μB/atom
E	-30.9	eV per cell

Geometry as Quantum ESPRESSO input:
```
&SYSTEM
  ibrav = 0, nat = 8, ntyp = 3
/
ATOMIC_SPECIES
Cu 63.55 Cu.upf
Se 78.96 Se.upf
K 39.10 K.upf
ATOMIC_POSITIONS crystal
Cu 0.500 0.000 0.162
Se 0.000 0.000 0.302
Cu 0.000 0.500 0.838
Cu 0.500 0.000 0.838
Cu 0.000 0.500 0.162
Se 0.500 0.500 0.000
K 0.500 0.500 0.500
Se 0.000 0.000 0.698
CELL_PARAMETERS angstrom
4.008 0.000 0.000
0.000 4.008 0.000
0.000 0.000 9.868
```